DFT (PBE with a Hubbard U) results for Li4MnCo2O7 after structural relaxation.

Output
The formation energy comes out at -1.83 eV per atom. The calculated total energy comes out at -162.91 eV for the cell shown. The density is 4.2 g/cm³.

a b c (Å): 2.9728 8.0843 10.6421
angles (deg): 78.32 85.72 89.06
Fractional coordinates of all 28 atoms:
Li: 0.0000 0.0000 0.0000
Li: 0.0064 0.4926 0.9943
Li: 0.1468 0.0694 0.7101
Li: 0.2889 0.6390 0.4278
Li: 0.4415 0.2022 0.1332
Li: 0.5873 0.7875 0.8509
Li: 0.7213 0.3544 0.5687
Li: 0.8745 0.9281 0.2731
Mn: 0.2966 0.1383 0.4229
Mn: 0.4415 0.7193 0.1334
Co: 0.1508 0.5657 0.7099
Co: 0.5740 0.2707 0.8567
Co: 0.7220 0.8507 0.5686
Co: 0.8782 0.4249 0.2776
O: 0.1270 0.8051 0.7060
O: 0.1730 0.3292 0.7158
O: 0.2733 0.3856 0.4160
O: 0.3182 0.8919 0.4327
O: 0.4285 0.9426 0.1407
O: 0.4623 0.4689 0.1463
O: 0.5586 0.5160 0.8438
O: 0.5860 0.0577 0.8479
O: 0.6979 0.0921 0.5630
O: 0.7443 0.6124 0.5732
O: 0.8907 0.1852 0.2836
O: 0.8972 0.6687 0.2637
O: 0.9779 0.7413 0.0110
O: 0.9876 0.2515 0.9821